A geometry-optimized Li9Mn2Co5O16 structure. Source: Materials Project, functional PBE+U.

Geometry as extended XYZ:
```
32
Lattice="10.5648 -1.4637 0.0000 10.5648 1.4637 0.0000 -2.9527 0.0000 9.3368" Properties=species:S:1:pos:R:3 pbc="T T T"
Li 0.0000 0.0000 0.0000
Li 0.3861 0.0000 2.8564
Li 1.1627 0.0000 8.7528
Li 4.9601 0.0000 5.2309
Li 8.7722 0.0000 1.7325
Li 9.4047 0.0000 7.6043
Li 13.2168 0.0000 4.1059
Li 17.0142 0.0000 0.5840
Li 17.7908 0.0000 6.4805
Mn 5.4349 0.0000 8.1866
Mn 12.7420 0.0000 1.1502
Co 0.7937 0.0000 5.8515
Co 4.5382 0.0000 2.3225
Co 9.0885 0.0000 4.6684
Co 13.6387 0.0000 7.0143
Co 17.3832 0.0000 3.4853
O -1.2673 0.0000 6.0377
O -0.8433 0.0000 9.2062
O 2.4809 0.0000 2.4669
O 2.8647 0.0000 5.6489
O 3.3685 0.0000 8.3521
O 6.5816 0.0000 2.1158
O 7.0289 0.0000 4.8240
O 7.2244 0.0000 7.8791
O 10.9525 0.0000 1.4577
O 11.1480 0.0000 4.5128
O 11.5953 0.0000 7.2210
O 14.8084 0.0000 0.9847
O 15.3122 0.0000 3.6879
O 15.6960 0.0000 6.8700
O 19.0202 0.0000 0.1306
O 19.4442 0.0000 3.2991
```

Results
- Calculated density: 4.16 g cm⁻³
- SG: C2/m
- E_form: -178 kJ/mol of atoms

A geometry-optimized Fe7Sb10Br8O18 structure. Source: Materials Project, functional PBE+U.

Geometry as extended XYZ:
```
43
Lattice="10.1208 0.0000 0.0000 4.3243 9.2024 0.0000 4.4555 1.3128 9.2249" Properties=species:S:1:pos:R:3 pbc="T T T"
Fe 0.0000 0.0000 0.0000
Fe 6.8008 7.0138 8.0092
Fe 8.1272 5.0809 5.4846
Fe 9.8806 7.6782 6.4541
Fe 9.0201 2.8370 2.7708
Fe 10.7735 5.4343 3.7402
Fe 12.1000 3.5015 1.2156
Sb 5.0271 4.0180 7.1000
Sb 8.1323 7.7117 3.2105
Sb 9.4457 5.2414 8.9125
Sb 7.7945 2.4232 7.9917
Sb 5.8835 1.4118 4.4164
Sb 13.0173 9.1034 4.8085
Sb 11.1062 8.0920 1.2332
Sb 9.4550 5.2739 0.3124
Sb 10.7684 2.8035 6.0143
Sb 13.8737 6.4973 2.1248
Br 5.7046 6.7055 5.5979
Br 7.9148 9.5433 6.6080
Br 10.6301 8.4829 9.1024
Br 6.9596 4.4935 2.9247
Br 11.9412 6.0217 6.3001
Br 8.2706 2.0323 0.1225
Br 10.9859 0.9719 2.6168
Br 13.1961 3.8097 3.6270
O 3.3798 5.1361 0.6905
O 5.6778 2.5721 8.3660
O 3.4990 2.5852 0.1780
O 7.0088 3.6895 6.5183
O 8.6020 6.2176 7.3344
O 9.4505 9.2572 3.1979
O 9.1566 6.6782 4.5904
O 11.1086 9.2114 5.6385
O 9.6176 3.5478 7.4946
O 9.2832 6.9675 1.7303
O 7.7922 1.3038 3.5864
O 9.7441 3.8371 4.6345
O 9.4502 1.2580 6.0269
O 10.2987 4.2976 1.8905
O 11.8919 6.8258 2.7065
O 15.4017 7.9300 9.0469
O 13.2229 7.9432 0.8589
O 15.5210 5.3791 8.5344
```

Results
- Calculated density: 4.90 g cm⁻³
- SG: P-1
- E_form: -142 kJ/mol of atoms

A geometry-optimized LiCoC2O6 structure. Source: Materials Project, functional PBE+U.

Geometry as extended XYZ:
```
20
Lattice="-2.2953 -3.6741 1.6160 5.6981 -0.5087 0.4700 1.5083 2.2707 7.6354" Properties=species:S:1:pos:R:3 pbc="T T T"
O 2.6890 -2.8532 5.9261
Li 5.3047 -1.2103 5.0955
O -0.3921 -3.1863 2.5755
O 2.2224 0.9415 3.7950
Co 2.2589 -1.3069 7.1735
Li 0.0000 0.0000 0.0001
O 4.4850 0.1067 2.2446
C 2.7555 -2.6888 4.6438
O 5.3035 1.2737 7.1461
O 0.4267 -2.0187 7.4766
O 3.4015 -1.6982 4.1362
O 3.0822 -2.1518 1.3006
C 4.6571 0.2833 7.6538
O 1.5095 -0.2134 5.5850
O 4.0910 -0.5950 6.8704
O 0.8197 -1.3171 2.8510
C 0.2539 -2.1956 2.0679
C 2.1558 0.7770 5.0773
O 1.8287 0.2395 8.4209
Co 2.6523 -0.6052 2.5478
```

Results
- Calculated density: 3.24 g cm⁻³
- E_form: -171 kJ/mol of atoms

A geometry-optimized Ba2Cr7O14 structure. Source: Materials Project, functional PBE+U.

Geometry as extended XYZ:
```
23
Lattice="2.9436 1.6995 9.3574 -2.9436 1.6995 9.3574 0.0000 -3.3990 9.3574" Properties=species:S:1:pos:R:3 pbc="T T T"
Ba 0.0000 0.0000 5.9218
Ba 0.0000 0.0000 22.1503
Cr -1.4718 -0.8498 9.3574
Cr 0.0000 0.0000 2.0368
Cr 0.0000 0.0000 12.2920
Cr -1.4718 0.8498 18.7147
Cr 0.0000 1.6995 9.3574
Cr 0.0000 0.0000 15.7801
Cr 0.0000 0.0000 26.0353
O 0.0000 -1.6233 8.2738
O -1.4058 0.8116 8.2738
O -1.5084 -0.8709 15.3941
O 0.0000 -1.7417 12.6780
O -1.5084 0.8709 12.6780
O 0.0000 0.0000 10.4077
O -1.4058 -0.8116 19.7983
O 1.4058 0.8116 8.2738
O 0.0000 0.0000 17.6644
O 1.5084 -0.8709 15.3942
O 0.0000 1.7417 15.3942
O 1.5084 0.8709 12.6779
O 1.4058 -0.8116 19.7983
O 0.0000 1.6233 19.7983
```

Results
- Calculated density: 5.10 g cm⁻³
- SG: R-3m
- E_form: -233 kJ/mol of atoms

A geometry-optimized KLiNiO2 structure. Source: Materials Project, functional PBE+U.

Geometry as extended XYZ:
```
20
Lattice="5.8119 -0.0427 0.1183 0.8992 -2.0090 7.2481 -1.9390 -6.3416 0.0005" Properties=species:S:1:pos:R:3 pbc="T T T"
Ni 4.6824 -3.1649 1.4451
O 4.5490 -1.3900 2.2608
O 0.5737 -3.6421 0.6261
K 0.6825 -5.4088 2.7463
O 0.2231 -7.0033 5.1062
O 3.5808 -4.5620 2.2621
K 4.0896 -2.9845 4.6206
Ni 1.0599 -2.0578 5.9239
O 1.1914 -3.8312 5.1049
O 4.1985 -4.7512 6.7409
O 1.5445 -0.4718 0.6269
Li 2.3054 -4.1729 6.9190
K 1.6517 -2.2383 2.7462
O 3.2276 -7.9215 6.7401
Li 1.3357 -7.3425 6.9192
K 3.1204 -6.1550 4.6208
Ni 3.7123 -6.3354 1.4431
Li 3.4364 -1.0508 0.4478
Ni 0.0897 -5.2284 5.9219
Li 2.4667 -4.2204 0.4480
```

Results
- Calculated density: 3.41 g cm⁻³
- E_form: -141 kJ/mol of atoms

A geometry-optimized MnRePb2O6 structure. Source: Materials Project, functional PBE+U.

Geometry as extended XYZ:
```
20
Lattice="-3.6141 3.7464 5.3015 3.6141 -3.7464 5.3015 3.6141 3.7464 -5.3015" Properties=species:S:1:pos:R:3 pbc="T T T"
Mn -1.8070 1.8732 2.6507
Mn 1.8070 1.8732 2.6507
Re 0.0000 0.0000 0.0000
Re 0.0000 3.7464 0.0000
Pb 1.8070 1.8732 -2.6507
Pb 1.8070 -1.8732 2.6507
Pb 3.6141 0.0000 0.0000
Pb 0.0000 0.0000 5.3015
O 1.3586 0.3137 1.3082
O 5.8696 0.3137 1.3082
O 3.6141 -1.8732 4.7497
O 1.3586 4.0601 -1.3082
O 2.2555 0.3137 3.9933
O 3.6141 1.8732 1.8879
O 0.0000 1.8732 3.4136
O 1.3586 3.4328 1.3082
O 2.2555 -0.3137 6.6096
O 0.0000 5.6197 0.5517
O -2.2555 3.4328 3.9933
O 2.2555 3.4328 3.9933
```

Results
- Calculated density: 8.69 g cm⁻³
- SG: Imma
- E_form: -170 kJ/mol of atoms